Record 1
# Ho2TeO2 (PBE, relaxed)
data_Ho2TeO2
_chemical_formula_sum 'Ho2 Te1 O2'
_cell_length_a 3.8947
_cell_length_b 3.8947
_cell_length_c 7.2066
_cell_angle_alpha 90.00
_cell_angle_beta 90.00
_cell_angle_gamma 120.00
_space_group_name_H-M_alt 'P 1'
_space_group_IT_number 1
loop_
_space_group_symop_operation_xyz
'x,y,z'
loop_
_atom_site_label
_atom_site_type_symbol
_atom_site_fract_x
_atom_site_fract_y
_atom_site_fract_z
Ho1 Ho 0.3333 0.6667 0.3055
Ho2 Ho 0.6667 0.3333 0.6945
Te1 Te 0.0000 0.0000 0.0000
O1 O 0.3333 0.6667 0.6195
O2 O 0.6667 0.3333 0.3805
# Symmetry   P-3m1 (164)
# Total magnetization   0.00 μB/cell



Record 2
# Ho2Te4O11 (PBE, relaxed)
data_Ho2Te4O11
_chemical_formula_sum 'Ho4 Te8 O22'
_cell_length_a 6.7448
_cell_length_b 6.7448
_cell_length_c 16.2828
_cell_angle_alpha 75.89
_cell_angle_beta 75.89
_cell_angle_gamma 44.98
_space_group_name_H-M_alt 'P 1'
_space_group_IT_number 1
loop_
_space_group_symop_operation_xyz
'x,y,z'
loop_
_atom_site_label
_atom_site_type_symbol
_atom_site_fract_x
_atom_site_fract_y
_atom_site_fract_z
Ho1 Ho 0.6309 0.1304 0.0370
Ho2 Ho 0.8696 0.3691 0.4630
Ho3 Ho 0.3691 0.8696 0.9630
Ho4 Ho 0.1304 0.6309 0.5370
Te1 Te 0.5896 0.1541 0.3750
Te2 Te 0.8459 0.4104 0.1250
Te3 Te 0.4104 0.8459 0.6250
Te4 Te 0.1541 0.5896 0.8750
Te5 Te 0.1573 0.5992 0.1981
Te6 Te 0.4008 0.8427 0.3019
Te7 Te 0.8427 0.4008 0.8019
Te8 Te 0.5992 0.1573 0.6981
O1 O 0.6853 0.8091 0.3726
O2 O 0.1909 0.3147 0.1274
O3 O 0.3147 0.1909 0.6274
O4 O 0.8091 0.6853 0.8726
O5 O 0.2463 0.3379 0.4481
O6 O 0.6621 0.7537 0.0519
O7 O 0.7537 0.6621 0.5519
O8 O 0.3379 0.2463 0.9481
O9 O 0.8250 0.0369 0.4554
O10 O 0.9631 0.1750 0.0446
O11 O 0.1750 0.9631 0.5446
O12 O 0.0369 0.8250 0.9554
O13 O 0.4475 0.6009 0.4044
O14 O 0.3991 0.5525 0.0956
O15 O 0.5525 0.3991 0.5956
O16 O 0.6009 0.4475 0.9044
O17 O 0.0909 0.2069 0.3333
O18 O 0.7931 0.9091 0.1667
O19 O 0.9091 0.7931 0.6667
O20 O 0.2069 0.0909 0.8333
O21 O 0.1458 0.8542 0.2500
O22 O 0.8542 0.1458 0.7500
# Symmetry   C2/c (15)



Record 3
# Ho2TeO6 (PBE, relaxed)
data_Ho2TeO6
_chemical_formula_sum 'Ho8 Te4 O24'
_cell_length_a 5.2998
_cell_length_b 9.0993
_cell_length_c 9.9879
_cell_angle_alpha 90.00
_cell_angle_beta 90.00
_cell_angle_gamma 90.00
_space_group_name_H-M_alt 'P 1'
_space_group_IT_number 1
loop_
_space_group_symop_operation_xyz
'x,y,z'
loop_
_atom_site_label
_atom_site_type_symbol
_atom_site_fract_x
_atom_site_fract_y
_atom_site_fract_z
Ho1 Ho 0.0254 0.3969 0.0393
Ho2 Ho 0.0354 0.2821 0.6349
Ho3 Ho 0.4646 0.7179 0.1349
Ho4 Ho 0.4746 0.6031 0.5393
Ho5 Ho 0.5254 0.1031 0.9607
Ho6 Ho 0.5354 0.2179 0.3651
Ho7 Ho 0.9646 0.7821 0.8651
Ho8 Ho 0.9746 0.8969 0.4607
Te1 Te 0.0409 0.0054 0.1467
Te2 Te 0.4591 0.9946 0.6467
Te3 Te 0.5409 0.4946 0.8533
Te4 Te 0.9591 0.5054 0.3533
O1 O 0.0809 0.6556 0.4752
O2 O 0.1762 0.5493 0.2040
O3 O 0.1871 0.8585 0.2629
O4 O 0.1808 0.8573 0.6789
O5 O 0.2273 0.3845 0.4361
O6 O 0.2478 0.0868 0.5058
O7 O 0.2522 0.9132 0.0058
O8 O 0.2727 0.6155 0.9361
O9 O 0.3192 0.1427 0.1789
O10 O 0.3129 0.1415 0.7629
O11 O 0.3238 0.4507 0.7040
O12 O 0.4191 0.3444 0.9752
O13 O 0.5809 0.8444 0.5248
O14 O 0.6762 0.9507 0.7960
O15 O 0.6871 0.6415 0.7371
O16 O 0.6808 0.6427 0.3211
O17 O 0.7273 0.1155 0.5639
O18 O 0.7478 0.4132 0.4942
O19 O 0.7522 0.5868 0.9942
O20 O 0.7727 0.8845 0.0639
O21 O 0.8192 0.3573 0.8211
O22 O 0.8129 0.3585 0.2371
O23 O 0.8238 0.0493 0.2960
O24 O 0.9191 0.1556 0.0248
# Symmetry   P2_12_12_1 (19)
# E above lowest polymorph   0 meV per atom



Record 4
# Ho2TeO2 (PBE, relaxed)
data_Ho2TeO2
_chemical_formula_sum 'Ho4 Te2 O4'
_cell_length_a 3.8923
_cell_length_b 3.8923
_cell_length_c 14.3782
_cell_angle_alpha 90.00
_cell_angle_beta 90.00
_cell_angle_gamma 120.00
_space_group_name_H-M_alt 'P 1'
_space_group_IT_number 1
loop_
_space_group_symop_operation_xyz
'x,y,z'
loop_
_atom_site_label
_atom_site_type_symbol
_atom_site_fract_x
_atom_site_fract_y
_atom_site_fract_z
Ho1 Ho 0.3333 0.6667 0.9025
Ho2 Ho 0.3333 0.6667 0.5975
Ho3 Ho 0.6667 0.3333 0.4025
Ho4 Ho 0.6667 0.3333 0.0975
Te1 Te 0.0000 0.0000 0.2500
Te2 Te 0.0000 0.0000 0.7500
O1 O 0.3333 0.6667 0.0603
O2 O 0.3333 0.6667 0.4397
O3 O 0.6667 0.3333 0.9397
O4 O 0.6667 0.3333 0.5603
# Symmetry   P6_3/mmc (194)
# Total magnetization   0.00 μB/cell



Record 5
# Ho2TeO6 (PBE, relaxed)
data_Ho2TeO6
_chemical_formula_sum 'Ho4 Te2 O12'
_cell_length_a 4.9779
_cell_length_b 4.9779
_cell_length_c 10.0539
_cell_angle_alpha 90.00
_cell_angle_beta 90.00
_cell_angle_gamma 90.00
_space_group_name_H-M_alt 'P 1'
_space_group_IT_number 1
loop_
_space_group_symop_operation_xyz
'x,y,z'
loop_
_atom_site_label
_atom_site_type_symbol
_atom_site_fract_x
_atom_site_fract_y
_atom_site_fract_z
Ho1 Ho 0.5000 0.5000 0.3345
Ho2 Ho 0.5000 0.5000 0.6655
Ho3 Ho 0.0000 0.0000 0.1655
Ho4 Ho 0.0000 0.0000 0.8345
Te1 Te 0.5000 0.5000 0.0000
Te2 Te 0.0000 0.0000 0.5000
O1 O 0.6835 0.6835 0.1465
O2 O 0.6835 0.6835 0.8535
O3 O 0.7213 0.7213 0.5000
O4 O 0.7787 0.2213 0.0000
O5 O 0.8165 0.1835 0.3535
O6 O 0.8165 0.1835 0.6465
O7 O 0.1835 0.8165 0.3535
O8 O 0.1835 0.8165 0.6465
O9 O 0.2213 0.7787 0.0000
O10 O 0.2787 0.2787 0.5000
O11 O 0.3165 0.3165 0.1465
O12 O 0.3165 0.3165 0.8535
# Symmetry   P4_2/mnm (136)
# Total magnetization   0.00 μB/cell
# E above lowest polymorph   61 meV per atom



Record 6
# Ho10Ti6O27 (PBE, relaxed)
data_Ho10Ti6O27
_chemical_formula_sum 'Ho20 Ti12 O54'
_cell_length_a 7.2416
_cell_length_b 7.2416
_cell_length_c 24.7791
_cell_angle_alpha 82.61
_cell_angle_beta 82.61
_cell_angle_gamma 60.39
_space_group_name_H-M_alt 'P 1'
_space_group_IT_number 1
loop_
_space_group_symop_operation_xyz
'x,y,z'
loop_
_atom_site_label
_atom_site_type_symbol
_atom_site_fract_x
_atom_site_fract_y
_atom_site_fract_z
Ho1 Ho 0.7443 0.2419 0.7539
Ho2 Ho 0.0028 0.0028 0.0010
Ho3 Ho 0.8952 0.3595 0.8811
Ho4 Ho 0.4911 0.4911 0.0097
Ho5 Ho 0.2419 0.7443 0.7539
Ho6 Ho 0.7580 0.7580 0.7425
Ho7 Ho 0.1258 0.1258 0.6126
Ho8 Ho 0.3595 0.8952 0.8811
Ho9 Ho 0.6311 0.1114 0.6167
Ho10 Ho 0.2486 0.2486 0.7532
Ho11 Ho 0.1114 0.6311 0.6167
Ho12 Ho 0.8787 0.8787 0.3695
Ho13 Ho 0.3684 0.8725 0.3725
Ho14 Ho 0.9949 0.9949 0.4964
Ho15 Ho 0.6212 0.6212 0.1282
Ho16 Ho 0.8725 0.3684 0.3725
Ho17 Ho 0.2474 0.2474 0.2529
Ho18 Ho 0.1204 0.6361 0.1368
Ho19 Ho 0.7336 0.7336 0.2499
Ho20 Ho 0.6361 0.1204 0.1368
Ti1 Ti 0.9776 0.4760 0.0127
Ti2 Ti 0.4760 0.9776 0.0127
Ti3 Ti 0.3803 0.3803 0.8588
Ti4 Ti 0.4987 0.0047 0.4922
Ti5 Ti 0.8793 0.8793 0.8746
Ti6 Ti 0.3718 0.3718 0.3649
Ti7 Ti 0.0047 0.4987 0.4922
Ti8 Ti 0.4975 0.4975 0.4890
Ti9 Ti 0.6406 0.6406 0.6166
Ti10 Ti 0.2563 0.7200 0.2577
Ti11 Ti 0.1122 0.1122 0.1357
Ti12 Ti 0.7200 0.2563 0.2577
O1 O 0.6593 0.2845 0.8575
O2 O 0.8175 0.3599 0.9701
O3 O 0.2845 0.6593 0.8575
O4 O 0.4994 0.9137 0.5814
O5 O 0.0099 0.0099 0.9051
O6 O 0.4266 0.8831 0.7839
O7 O 0.9051 0.9051 0.7916
O8 O 0.3599 0.8175 0.9701
O9 O 0.6058 0.9696 0.8974
O10 O 0.2288 0.2288 0.8480
O11 O 0.8831 0.4266 0.7839
O12 O 0.5753 0.1206 0.7072
O13 O 0.9137 0.4994 0.5814
O14 O 0.2243 0.6806 0.3439
O15 O 0.8092 0.8092 0.4855
O16 O 0.1989 0.5930 0.5216
O17 O 0.7618 0.7618 0.6557
O18 O 0.9696 0.6058 0.8974
O19 O 0.1206 0.5753 0.7072
O20 O 0.4074 0.4074 0.7809
O21 O 0.4882 0.4882 0.6106
O22 O 0.2967 0.8811 0.6766
O23 O 0.9675 0.9675 0.5907
O24 O 0.5930 0.1989 0.5216
O25 O 0.4069 0.7995 0.4838
O26 O 0.6806 0.2243 0.3439
O27 O 0.0280 0.0280 0.4107
O28 O 0.4941 0.4941 0.4169
O29 O 0.8966 0.3684 0.2791
O30 O 0.9726 0.3925 0.0847
O31 O 0.5676 0.5676 0.2203
O32 O 0.2281 0.2281 0.3461
O33 O 0.1895 0.1895 0.5182
O34 O 0.7995 0.4069 0.4838
O35 O 0.8811 0.2967 0.6766
O36 O 0.0877 0.4935 0.4203
O37 O 0.7159 0.7159 0.3463
O38 O 0.3684 0.8966 0.2791
O39 O 0.3925 0.9726 0.0847
O40 O 0.0953 0.6005 0.2261
O41 O 0.7756 0.7756 0.1553
O42 O 0.6349 0.1158 0.0112
O43 O 0.2491 0.2491 0.1617
O44 O 0.9822 0.9822 0.0908
O45 O 0.9524 0.9524 0.2774
O46 O 0.4935 0.0877 0.4203
O47 O 0.6005 0.0953 0.2261
O48 O 0.4623 0.4623 0.0975
O49 O 0.8407 0.2391 0.1736
O50 O 0.1158 0.6349 0.0112
O51 O 0.4080 0.4080 0.2844
O52 O 0.6803 0.6803 0.0273
O53 O 0.2391 0.8407 0.1736
O54 O 0.2083 0.2083 0.9888
# Symmetry   Cm (8)
# Total magnetization   0.00 μB/cell
# E above lowest polymorph   53 meV per atom



Number 1: E (MP2020) -7.612 eV per atom. Number 2: E (MP2020) -6.788 eV per atom. Number 3: E (MP2020) -7.698 eV per atom. Number 4: E (MP2020) -7.620 eV per atom. Number 5: E (MP2020) -7.637 eV per atom. Number 6: E (MP2020) -8.998 eV per atom.